1.
An optimized crystal structure of Li4Mn3CoCu2P6O24, computed with GGA+U.

symmetry = No. 1
VASP energy = -6.7765 eV/atom
calculated formation energy = -2.313 eV/atom

Unit cell a=8.2667 b=8.9852 c=8.8558 alpha=60.16 beta=59.27 gamma=62.99
Positions (direct):
O (0.4628, 0.3944, 0.9442)
O (0.5651, 0.6127, 0.0204)
P (0.2274, 0.9520, 0.2466)
Li (0.2520, 0.8667, 0.6473)
O (0.2396, 0.7669, 0.4092)
O (0.7524, 0.2243, 0.6008)
O (0.7788, 0.9098, 0.2635)
O (0.5394, 0.8277, 0.5985)
Mn (0.4409, 0.8433, 0.8603)
O (0.7563, 0.2772, 0.0590)
O (0.2793, 0.5847, 0.7323)
O (0.8972, 0.6750, 0.5333)
O (0.7099, 0.6099, 0.4258)
P (0.7436, 0.4608, 0.0494)
O (0.0898, 0.4994, 0.0967)
P (0.7339, 0.7546, 0.4591)
O (0.0619, 0.3261, 0.5208)
Co (0.5448, 0.1580, 0.1433)
O (0.7297, 0.4246, 0.2495)
O (0.2176, 0.9311, 0.0858)
P (0.7796, 0.0335, 0.7514)
O (0.4351, 0.1911, 0.3955)
Li (0.7517, 0.3427, 0.7605)
O (0.0458, 0.1002, 0.3025)
P (0.2749, 0.5417, 0.9315)
O (0.2579, 0.7293, 0.9183)
Li (0.7016, 0.7931, 0.1570)
O (0.2247, 0.0803, 0.7405)
O (0.7789, 0.0587, 0.9175)
P (0.2548, 0.2506, 0.5542)
O (0.6022, 0.9741, 0.8122)
Mn (0.0647, 0.6454, 0.6445)
Cu (0.5003, 0.4898, 0.5052)
O (0.4237, 0.9844, 0.1859)
O (0.2860, 0.3942, 0.5786)
O (0.9722, 0.8964, 0.6915)
O (0.9339, 0.5055, 0.8919)
Mn (0.9558, 0.3438, 0.3480)
Li (0.7342, 0.1530, 0.3441)
Cu (0.9997, 0.0162, 0.0001)


2.
An optimized crystal structure of Sr2CdWO6, computed with GGA+U.

symmetry = No. 59
VASP energy = -6.3834 eV/atom
calculated formation energy = -2.545 eV/atom

Unit cell a=5.8289 b=6.0638 c=8.3352 alpha=90.00 beta=90.00 gamma=90.00
Positions (direct):
W (0.0000, 0.7627, 0.0000)
O (0.2428, 0.5490, 0.0000)
Sr (0.5000, 0.7902, 0.2360)
Cd (0.0000, 0.7261, 0.5000)
O (0.7572, 0.5490, 0.0000)
O (0.5000, 0.2191, 0.2670)
O (0.2663, 0.0017, 0.5000)
O (0.2337, 0.9983, 0.0000)
O (0.7663, 0.9983, 0.0000)
Cd (0.5000, 0.2739, 0.0000)
O (0.0000, 0.7809, 0.7670)
W (0.5000, 0.2373, 0.5000)
O (0.5000, 0.2191, 0.7330)
O (0.2572, 0.4510, 0.5000)
O (0.7428, 0.4510, 0.5000)
Sr (0.0000, 0.2098, 0.2640)
O (0.0000, 0.7809, 0.2330)
Sr (0.0000, 0.2098, 0.7360)
O (0.7337, 0.0017, 0.5000)
Sr (0.5000, 0.7902, 0.7640)


3.
An optimized crystal structure of Tl2Mo4O13, computed with GGA+U.

symmetry = No. 61
VASP energy = -6.6215 eV/atom
calculated formation energy = -1.848 eV/atom

Unit cell a=7.8372 b=15.7196 c=19.3963 alpha=90.00 beta=90.00 gamma=90.00
Positions (direct):
Mo (0.2053, 0.6424, 0.8996)
Mo (0.1727, 0.4283, 0.2445)
O (0.7803, 0.9755, 0.1680)
O (0.1335, 0.7257, 0.2183)
Tl (0.8904, 0.5287, 0.4158)
O (0.6650, 0.1426, 0.1825)
O (0.2197, 0.4755, 0.3320)
O (0.7308, 0.5842, 0.0497)
O (0.3078, 0.8179, 0.3159)
O (0.7692, 0.4158, 0.5497)
O (0.0560, 0.3451, 0.6771)
O (0.3774, 0.6302, 0.9565)
O (0.9239, 0.6705, 0.8027)
O (0.4495, 0.4474, 0.4211)
O (0.3665, 0.2257, 0.2183)
Mo (0.1076, 0.0646, 0.3900)
O (0.0560, 0.1549, 0.1771)
O (0.0793, 0.9887, 0.6954)
O (0.9300, 0.1181, 0.4233)
O (0.0761, 0.1705, 0.6973)
O (0.5761, 0.3295, 0.3027)
O (0.4239, 0.6705, 0.6973)
O (0.5956, 0.7302, 0.5675)
Mo (0.9225, 0.7192, 0.2510)
Mo (0.8924, 0.9354, 0.6100)
O (0.1922, 0.3179, 0.3159)
Mo (0.8273, 0.5717, 0.7555)
O (0.4495, 0.0526, 0.9211)
O (0.7308, 0.9158, 0.5497)
Mo (0.6727, 0.0717, 0.7555)
O (0.8665, 0.2257, 0.2817)
O (0.3774, 0.8698, 0.4565)
O (0.1650, 0.3574, 0.8175)
O (0.8665, 0.2743, 0.7817)
O (0.1188, 0.5753, 0.7089)
Mo (0.6076, 0.4354, 0.6100)
O (0.5761, 0.1705, 0.8027)
O (0.9440, 0.8451, 0.8229)
O (0.6922, 0.1821, 0.6841)
O (0.4300, 0.3819, 0.5767)
Tl (0.6096, 0.0287, 0.4158)
Mo (0.8273, 0.9283, 0.2555)
O (0.5700, 0.8819, 0.9233)
O (0.0700, 0.6181, 0.0767)
Mo (0.2947, 0.1424, 0.8996)
O (0.0505, 0.9474, 0.4211)
Tl (0.7244, 0.7143, 0.9363)
Tl (0.2756, 0.2143, 0.5637)
Mo (0.1076, 0.4354, 0.8900)
O (0.9044, 0.2698, 0.0675)
Tl (0.3904, 0.9713, 0.5842)
O (0.8774, 0.6302, 0.5435)
O (0.9495, 0.0526, 0.5789)
O (0.3665, 0.2743, 0.7183)
O (0.1226, 0.1302, 0.9565)
O (0.9300, 0.3819, 0.9233)
O (0.8774, 0.8698, 0.0435)
O (0.0956, 0.7698, 0.4325)
O (0.4207, 0.0113, 0.1954)
Tl (0.1096, 0.0287, 0.0842)
Mo (0.6727, 0.4283, 0.2555)
Mo (0.4225, 0.7192, 0.2490)
Tl (0.7756, 0.2143, 0.9363)
O (0.4440, 0.6549, 0.1771)
O (0.6226, 0.3698, 0.0435)
Mo (0.3273, 0.9283, 0.2445)
Tl (0.7244, 0.7857, 0.4363)
O (0.0700, 0.8819, 0.5767)
O (0.5560, 0.3451, 0.8229)
O (0.2308, 0.9158, 0.9503)
O (0.7197, 0.0245, 0.6680)
Tl (0.3904, 0.5287, 0.0842)
O (0.0793, 0.5113, 0.1954)
O (0.2692, 0.4158, 0.9503)
O (0.6335, 0.7257, 0.2817)
Mo (0.3924, 0.5646, 0.3900)
O (0.3350, 0.8574, 0.8175)
O (0.1226, 0.3698, 0.4565)
O (0.2197, 0.0245, 0.8320)
O (0.2308, 0.5842, 0.4503)
Tl (0.2244, 0.7857, 0.0637)
O (0.8812, 0.4247, 0.2911)
Mo (0.1727, 0.0717, 0.7445)
O (0.5560, 0.1549, 0.3229)
Mo (0.2947, 0.3576, 0.3996)
Mo (0.3273, 0.5717, 0.7445)
Mo (0.3924, 0.9354, 0.8900)
O (0.5700, 0.6181, 0.4233)
O (0.5793, 0.9887, 0.8046)
O (0.3350, 0.6426, 0.3175)
Mo (0.5775, 0.2192, 0.2510)
O (0.8350, 0.6426, 0.1825)
Mo (0.7053, 0.8576, 0.1004)
Mo (0.7947, 0.3576, 0.1004)
O (0.6922, 0.3179, 0.1841)
O (0.0956, 0.7302, 0.9325)
O (0.7197, 0.4755, 0.1680)
O (0.8812, 0.0753, 0.7911)
Tl (0.2756, 0.2857, 0.0637)
Mo (0.2053, 0.8576, 0.3996)
O (0.6188, 0.5753, 0.7911)
O (0.4300, 0.1181, 0.0767)
O (0.8078, 0.6821, 0.6841)
O (0.5505, 0.5526, 0.5789)
O (0.2803, 0.5245, 0.8320)
O (0.9440, 0.6549, 0.3229)
O (0.3812, 0.4247, 0.2089)
O (0.9207, 0.4887, 0.8046)
O (0.1335, 0.7743, 0.7183)
Tl (0.8904, 0.9713, 0.9158)
O (0.6188, 0.9247, 0.2911)
O (0.1650, 0.1426, 0.3175)
O (0.0761, 0.3295, 0.1973)
O (0.8078, 0.8179, 0.1841)
O (0.9495, 0.4474, 0.0789)
Mo (0.7053, 0.6424, 0.6004)
O (0.7803, 0.5245, 0.6680)
O (0.3812, 0.0753, 0.7089)
O (0.5956, 0.7698, 0.0675)
Mo (0.7947, 0.1424, 0.6004)
O (0.6650, 0.3574, 0.6825)
O (0.4207, 0.4887, 0.6954)
O (0.4239, 0.8295, 0.1973)
O (0.4044, 0.2302, 0.9325)
Mo (0.0775, 0.2808, 0.7490)
O (0.9239, 0.8295, 0.3027)
Mo (0.4225, 0.7808, 0.7490)
O (0.9207, 0.0113, 0.3046)
O (0.6226, 0.1302, 0.5435)
O (0.2692, 0.0842, 0.4503)
Tl (0.1096, 0.4713, 0.5842)
Mo (0.8924, 0.5646, 0.1100)
O (0.2803, 0.9755, 0.3320)
O (0.0505, 0.5526, 0.9211)
Mo (0.6076, 0.0646, 0.1100)
O (0.9044, 0.2302, 0.5675)
O (0.4440, 0.8451, 0.6771)
O (0.7692, 0.0842, 0.0497)
O (0.3078, 0.6821, 0.8159)
Mo (0.5775, 0.2808, 0.7510)
Tl (0.2244, 0.7143, 0.5637)
Mo (0.9225, 0.7808, 0.7510)
O (0.4044, 0.2698, 0.4325)
O (0.1188, 0.9247, 0.2089)
Tl (0.7756, 0.2857, 0.4363)
O (0.8350, 0.8574, 0.6825)
Mo (0.0775, 0.2192, 0.2490)
Tl (0.6096, 0.4713, 0.9158)
O (0.1922, 0.1821, 0.8159)
O (0.5505, 0.9474, 0.0789)
O (0.6335, 0.7743, 0.7817)
O (0.5793, 0.5113, 0.3046)


4.
An optimized crystal structure of Li2VOF3, computed with GGA+U.

symmetry = No. 1
energy above the most stable polymorph in this dataset = 25 meV/atom
VASP energy = -5.7942 eV/atom
calculated formation energy = -2.963 eV/atom

Unit cell a=5.0545 b=9.8256 c=6.0061 alpha=95.68 beta=89.79 gamma=90.18
Positions (direct):
Li (0.4762, 0.9777, 0.3971)
F (0.1439, 0.9105, 0.2732)
F (0.6613, 0.3160, 0.9642)
F (0.6874, 0.0741, 0.1877)
O (0.2858, 0.9309, 0.7945)
Li (0.0080, 0.7272, 0.1336)
Li (0.0049, 0.8800, 0.5653)
Li (0.0147, 0.3668, 0.0599)
O (0.2026, 0.1792, 0.0474)
Li (0.4831, 0.6131, 0.3099)
F (0.8391, 0.5672, 0.2202)
F (0.6884, 0.5737, 0.6899)
Li (0.0115, 0.2269, 0.6467)
F (0.8073, 0.3245, 0.4338)
V (0.4677, 0.7580, 0.7491)
O (0.2957, 0.4305, 0.2886)
F (0.3447, 0.1647, 0.5211)
F (0.8324, 0.0657, 0.7158)
F (0.6568, 0.8162, 0.4696)
O (0.2086, 0.6686, 0.5736)
V (0.0224, 0.0096, 0.0006)
Li (0.4771, 0.4749, 0.8939)
F (0.8003, 0.8256, 0.9345)
F (0.3493, 0.6673, 0.0267)
V (0.4712, 0.2605, 0.2492)
F (0.1437, 0.4129, 0.7681)
V (0.0216, 0.5095, 0.4997)
Li (0.4780, 0.1187, 0.8100)


5.
An optimized crystal structure of Li9Mn7O16, computed with GGA+U.

symmetry = No. 2
energy above the most stable polymorph in this dataset = 20 meV/atom
VASP energy = -6.4312 eV/atom
calculated formation energy = -2.125 eV/atom

Unit cell a=3.0100 b=9.9636 c=10.4024 alpha=73.68 beta=83.37 gamma=86.01
Positions (direct):
O (0.4434, 0.0236, 0.1826)
Mn (0.2340, 0.7456, 0.5022)
Mn (0.8731, 0.8729, 0.2504)
O (0.6961, 0.2779, 0.6802)
Mn (0.3864, 0.3787, 0.2398)
O (0.1256, 0.4915, 0.8044)
O (0.6763, 0.6004, 0.5701)
O (0.8099, 0.9011, 0.4337)
Li (0.6946, 0.9436, 0.6245)
O (0.0699, 0.1536, 0.9312)
Li (0.4566, 0.6859, 0.1112)
O (0.3237, 0.3996, 0.4299)
O (0.5566, 0.9764, 0.8174)
Li (0.5434, 0.3141, 0.8888)
Li (0.1935, 0.4402, 0.6250)
Li (0.0445, 0.8009, 0.8808)
O (0.5460, 0.6571, 0.9233)
O (0.8815, 0.2399, 0.3103)
O (0.8744, 0.5085, 0.1956)
Mn (0.6136, 0.6213, 0.7602)
Li (0.3054, 0.0564, 0.3755)
O (0.1185, 0.7601, 0.6897)
Li (0.9555, 0.1991, 0.1192)
Mn (0.7660, 0.2544, 0.4978)
O (0.3039, 0.7221, 0.3198)
Li (0.8065, 0.5598, 0.3750)
Mn (0.1269, 0.1271, 0.7496)
Mn (0.5000, 0.0000, 0.0000)
O (0.9301, 0.8464, 0.0688)
O (0.1901, 0.0989, 0.5663)
O (0.4540, 0.3429, 0.0767)
Li (0.0000, 0.5000, 0.0000)


6.
An optimized crystal structure of BaMnO3, computed with GGA+U.

VASP energy = -6.9215 eV/atom
calculated formation energy = -2.482 eV/atom

Unit cell a=4.9321 b=5.8047 c=10.0523 alpha=90.00 beta=90.00 gamma=90.00
Positions (direct):
Ba (0.7678, 0.5000, 0.1667)
O (0.2842, 0.0000, 0.8515)
O (0.2842, 0.2228, 0.0743)
Ba (0.2678, 0.5000, 0.8333)
O (0.2842, 0.5000, 0.3515)
Mn (0.5336, 0.0000, 0.0000)
O (0.7842, 0.7772, 0.9257)
Ba (0.2678, 0.0000, 0.3333)
O (0.2842, 0.2772, 0.5743)
O (0.7842, 0.5000, 0.6485)
Mn (0.0336, 0.0000, 0.0000)
Mn (0.5336, 0.5000, 0.5000)
O (0.7842, 0.7228, 0.4257)
Ba (0.7678, 0.0000, 0.6667)
O (0.7842, 0.2772, 0.4257)
O (0.7842, 0.0000, 0.1485)
O (0.7842, 0.2228, 0.9257)
O (0.2842, 0.7772, 0.0743)
O (0.2842, 0.7228, 0.5743)
Mn (0.0336, 0.5000, 0.5000)


7.
An optimized crystal structure of LiNi6O6F, computed with GGA+U.

symmetry = No. 139
VASP energy = -4.8938 eV/atom
calculated formation energy = -1.439 eV/atom

Unit cell a=15.0014 b=15.0014 c=15.0014 alpha=168.62 beta=168.62 gamma=16.11
Positions (direct):
Ni (0.5729, 0.5729, 0.0000)
Ni (0.2855, 0.2855, 0.0000)
O (0.2144, 0.2144, 0.0000)
O (0.3567, 0.3567, 0.0000)
Ni (0.8570, 0.8570, 0.0000)
O (0.7856, 0.7856, 0.0000)
Li (0.0000, 0.0000, 0.0000)
Ni (0.7145, 0.7145, 0.0000)
F (0.5000, 0.5000, 0.0000)
Ni (0.4271, 0.4271, 0.0000)
O (0.9284, 0.9284, 0.0000)
Ni (0.1430, 0.1430, 0.0000)
O (0.0716, 0.0716, 0.0000)
O (0.6433, 0.6433, 0.0000)


8.
An optimized crystal structure of Li9Mn2Co5O16, computed with GGA+U.

symmetry = No. 1
energy above the most stable polymorph in this dataset = 25 meV/atom
VASP energy = -5.8293 eV/atom
calculated formation energy = -1.839 eV/atom

Unit cell a=5.0802 b=5.9221 c=9.7074 alpha=88.80 beta=78.18 gamma=89.20
Positions (direct):
Co (0.5013, 0.4892, 0.4924)
O (0.1421, 0.5031, 0.6272)
Mn (0.0014, 0.0067, 0.0029)
Mn (0.7475, 0.7537, 0.2503)
Co (0.2591, 0.2469, 0.7451)
O (0.8937, 0.2315, 0.8766)
Li (0.5009, 0.2507, 0.0004)
Co (0.2571, 0.7466, 0.7477)
O (0.6016, 0.7599, 0.6203)
Li (0.5039, 0.7520, 0.0023)
O (0.8386, 0.9813, 0.3734)
Li (0.9967, 0.2492, 0.4998)
O (0.3940, 0.7402, 0.3648)
Li (0.7514, 0.4936, 0.7462)
O (0.1121, 0.2475, 0.1083)
Li (0.7502, 0.0024, 0.7477)
O (0.1034, 0.7749, 0.1281)
O (0.9039, 0.7558, 0.8874)
Co (0.4939, 0.9989, 0.4972)
Li (0.7467, 0.2503, 0.2509)
O (0.3523, 0.9957, 0.8774)
O (0.8519, 0.5172, 0.3733)
O (0.3478, 0.4997, 0.8765)
O (0.1477, 0.9990, 0.6257)
Li (0.9958, 0.7490, 0.4983)
O (0.6524, 0.9891, 0.1245)
Li (0.2486, 0.0098, 0.2542)
Co (0.0012, 0.4998, 0.0021)
Li (0.2522, 0.4918, 0.2541)
O (0.6119, 0.2566, 0.6303)
O (0.3780, 0.2389, 0.3883)
O (0.6605, 0.5192, 0.1264)